Compound: HfGa2Ni
Source: the Materials Project database
Functional: GGA-PBE
Structure: relaxed

Geometry as CIF:
```
data_HfGa2Ni
_chemical_formula_sum 'Hf20 Ga40 Ni20'
_cell_length_a 12.3083
_cell_length_b 12.3083
_cell_length_c 8.1063
_cell_angle_alpha 90.00
_cell_angle_beta 90.00
_cell_angle_gamma 90.00
_symmetry_space_group_name_H-M 'I 4 m m'
_symmetry_Int_Tables_number 107
_symmetry_space_group_name_Hall 'I 4 -2'
loop_
_atom_site_label
_atom_site_type_symbol
_atom_site_fract_x
_atom_site_fract_y
_atom_site_fract_z
Hf1 Hf 0.0000 0.0000 0.0000
Hf2 Hf 0.0000 0.0000 0.4434
Hf3 Hf 0.0000 0.2865 0.0622
Hf4 Hf 0.2030 0.2030 0.5700
Ga1 Ga 0.0000 0.1592 0.7297
Ga2 Ga 0.0000 0.3825 0.5825
Ga3 Ga 0.1321 0.1321 0.2213
Ga4 Ga 0.1420 0.3515 0.3184
Ni1 Ni 0.0000 0.2160 0.4191
Ni2 Ni 0.0000 0.5000 0.3355
Ni3 Ni 0.1625 0.1625 0.9080
```

DFT total energy   -479.27 eV/cell
Crystal system   tetragonal
E_form   -12.5 kcal/mol of atoms
Spin magnetization   0.00 μB/atom

---

Compound: Hf2Ga3Ni
Source: the Materials Project database
Functional: GGA-PBE
Structure: relaxed

Geometry as CIF:
```
data_Hf2Ga3Ni
_chemical_formula_sum 'Hf4 Ga6 Ni2'
_cell_length_a 9.7434
_cell_length_b 4.1548
_cell_length_c 6.4429
_cell_angle_alpha 90.00
_cell_angle_beta 130.77
_cell_angle_gamma 90.00
_symmetry_space_group_name_H-M 'C 1 m 1'
_symmetry_Int_Tables_number 8
loop_
_symmetry_equiv_pos_as_xyz
'x,y,z'
'x,-y,z'
'x+1/2,y+1/2,z'
'x+1/2,-y+1/2,z'
loop_
_atom_site_label
_atom_site_type_symbol
_atom_site_fract_x
_atom_site_fract_y
_atom_site_fract_z
Hf1 Hf 0.0000 0.0000 0.0000
Hf2 Hf 0.0820 0.0000 0.5791
Ga1 Ga 0.2044 0.5000 0.4022
Ga2 Ga 0.3663 0.0000 0.1604
Ga3 Ga 0.3978 0.0000 0.6252
Ni1 Ni 0.2117 0.5000 0.0182
```

DFT total energy   -75.75 eV/cell
Crystal system   monoclinic
E_form   -11.9 kcal/mol of atoms
Spin magnetization   0.00 μB/atom

---

Compound: HfGaNi
Source: the Materials Project database
Functional: GGA-PBE
Structure: relaxed

Geometry as CIF:
```
data_HfGaNi
_chemical_formula_sum 'Hf3 Ga3 Ni3'
_cell_length_a 6.8404
_cell_length_b 6.8404
_cell_length_c 3.4235
_cell_angle_alpha 90.00
_cell_angle_beta 90.00
_cell_angle_gamma 120.00
_symmetry_space_group_name_H-M 'P -6 2 m'
_symmetry_Int_Tables_number 189
_symmetry_space_group_name_Hall 'P -6 -2'
loop_
_atom_site_label
_atom_site_type_symbol
_atom_site_fract_x
_atom_site_fract_y
_atom_site_fract_z
Hf1 Hf 0.0000 0.5976 0.0000
Ga1 Ga 0.0000 0.2602 0.5000
Ni1 Ni 0.0000 0.0000 0.0000
Ni2 Ni 0.3333 0.6667 0.5000
```

DFT total energy   -62.06 eV/cell
Crystal system   hexagonal
E_form   -14.8 kcal/mol of atoms

---

Compound: Hf2Ga2SiS5O24
Source: the Materials Project database
Functional: GGA-PBE
Structure: relaxed

Geometry as CIF:
```
data_Hf2Ga2SiS5O24
_chemical_formula_sum 'Hf6 Ga6 Si3 S15 O72'
_cell_length_a 8.6615
_cell_length_b 8.7171
_cell_length_c 22.6537
_cell_angle_alpha 89.95
_cell_angle_beta 89.63
_cell_angle_gamma 60.39
_symmetry_space_group_name_H-M 'P 1'
_symmetry_Int_Tables_number 1
loop_
_symmetry_equiv_pos_as_xyz
'x,y,z'
loop_
_atom_site_label
_atom_site_type_symbol
_atom_site_fract_x
_atom_site_fract_y
_atom_site_fract_z
Hf1 Hf 0.0000 0.0000 0.0000
Hf2 Hf 0.0025 0.9956 0.2124
Hf3 Hf 0.0087 0.9881 0.7116
Hf4 Hf 0.3251 0.3323 0.3363
Hf5 Hf 0.3337 0.3334 0.8306
Hf6 Hf 0.6830 0.6510 0.1655
Ga1 Ga 0.3261 0.3281 0.0435
Ga2 Ga 0.3354 0.3282 0.5415
Ga3 Ga 0.6564 0.6655 0.8760
Ga4 Ga 0.6617 0.6549 0.6673
Ga5 Ga 0.6718 0.6672 0.3790
Ga6 Ga 0.9984 0.9932 0.5048
Si1 Si 0.0137 0.2817 0.1050
Si2 Si 0.3949 0.6633 0.7726
Si3 Si 0.9460 0.6667 0.2776
S1 S 0.0338 0.6121 0.9387
S2 S 0.0392 0.3244 0.4448
S3 S 0.2871 0.6987 0.1045
S4 S 0.2936 0.9971 0.6025
S5 S 0.3356 0.6227 0.4429
S6 S 0.3494 0.0318 0.9398
S7 S 0.3845 0.9404 0.2770
S8 S 0.6138 0.3361 0.9414
S9 S 0.6268 0.0347 0.4440
S10 S 0.6669 0.3785 0.2764
S11 S 0.6688 0.9377 0.7727
S12 S 0.7027 0.0056 0.1044
S13 S 0.7075 0.2858 0.6033
S14 S 0.9438 0.3824 0.7722
S15 S 0.9981 0.6991 0.6044
O1 O 0.0172 0.7882 0.9459
O2 O 0.0285 0.1610 0.4524
O3 O 0.0309 0.7835 0.6568
O4 O 0.0372 0.1605 0.1621
O5 O 0.1140 0.5032 0.9914
O6 O 0.1222 0.3607 0.4964
O7 O 0.1279 0.3501 0.7813
O8 O 0.1408 0.4911 0.2870
O9 O 0.1502 0.5298 0.8860
O10 O 0.1559 0.2918 0.3918
O11 O 0.1580 0.5248 0.5958
O12 O 0.1722 0.7775 0.1573
O13 O 0.1751 0.7969 0.4515
O14 O 0.1771 0.0289 0.6557
O15 O 0.1855 0.3017 0.0952
O16 O 0.1914 0.0065 0.9466
O17 O 0.1960 0.8332 0.7615
O18 O 0.2022 0.8102 0.0518
O19 O 0.2036 0.9675 0.2693
O20 O 0.2110 0.9604 0.5510
O21 O 0.3025 0.5382 0.3907
O22 O 0.3046 0.1601 0.5949
O23 O 0.3129 0.5222 0.0952
O24 O 0.3141 0.1429 0.8870
O25 O 0.3665 0.4922 0.7824
O26 O 0.3711 0.1161 0.2861
O27 O 0.3710 0.5070 0.4954
O28 O 0.3731 0.1168 0.9924
O29 O 0.4573 0.6931 0.1135
O30 O 0.4574 0.8313 0.3299
O31 O 0.4692 0.7006 0.8325
O32 O 0.4709 0.8432 0.6116
O33 O 0.4888 0.8642 0.2231
O34 O 0.4940 0.6413 0.4320
O35 O 0.5023 0.3643 0.9943
O36 O 0.5086 0.1131 0.7825
O37 O 0.5104 0.6236 0.7130
O38 O 0.5098 0.8582 0.9337
O39 O 0.5111 0.1200 0.4967
O40 O 0.5113 0.3518 0.2848
O41 O 0.5286 0.3052 0.5954
O42 O 0.5312 0.3062 0.8886
O43 O 0.5359 0.1681 0.0950
O44 O 0.5474 0.1470 0.3914
O45 O 0.6289 0.4886 0.2230
O46 O 0.6381 0.8609 0.4374
O47 O 0.6385 0.8619 0.7194
O48 O 0.6424 0.4870 0.9339
O49 O 0.6729 0.8536 0.1127
O50 O 0.6939 0.4578 0.3297
O51 O 0.6961 0.4600 0.6102
O52 O 0.7108 0.8293 0.8263
O53 O 0.7883 0.0279 0.1575
O54 O 0.7876 0.1737 0.6560
O55 O 0.7885 0.1701 0.9470
O56 O 0.8058 0.0154 0.4520
O57 O 0.8211 0.9697 0.7632
O58 O 0.8220 0.9618 0.0521
O59 O 0.8231 0.2011 0.5507
O60 O 0.8242 0.2043 0.2670
O61 O 0.8281 0.6982 0.3362
O62 O 0.8315 0.4699 0.1111
O63 O 0.8393 0.4562 0.8265
O64 O 0.8392 0.6806 0.6156
O65 O 0.8576 0.6301 0.9288
O66 O 0.8622 0.4779 0.4359
O67 O 0.8623 0.6306 0.2186
O68 O 0.8772 0.4926 0.7194
O69 O 0.9585 0.2069 0.7624
O70 O 0.9621 0.8147 0.5520
O71 O 0.9713 0.8345 0.2648
O72 O 0.9807 0.1850 0.0477
```

DFT total energy   -706.11 eV/cell
Crystal system   triclinic
E_form   -55.0 kcal/mol of atoms
Spin magnetization   0.00 μB/atom

---

Question: Which value of DFT total energy does entry 3 give?
Answer: -62.06 eV/cell